No. 1
Here is a geometry-optimized K4Ho2MgNb10O30 structure from the Materials Project database. Energies are from PBE. Values from VASP.

Geometry as Quantum ESPRESSO input:
```
&SYSTEM
  ibrav = 0, nat = 47, ntyp = 5
/
ATOMIC_SPECIES
K 39.10 K.upf
Ho 164.93 Ho.upf
Mg 24.30 Mg.upf
Nb 92.91 Nb.upf
O 16.00 O.upf
CELL_PARAMETERS angstrom
3.945 0.000 0.000
0.000 8.845 9.535
0.000 -8.845 9.535
ATOMIC_POSITIONS crystal
K 0.000 0.000 0.000
K 0.000 0.415 0.415
K 0.000 0.527 0.874
K 0.000 0.874 0.527
Ho 0.000 0.178 0.707
Ho 0.000 0.707 0.178
Mg 0.500 0.308 0.308
Nb 0.500 0.124 0.464
Nb 0.500 0.156 0.156
Nb 0.500 0.269 0.890
Nb 0.500 0.410 0.627
Nb 0.500 0.464 0.124
Nb 0.500 0.627 0.410
Nb 0.500 0.695 0.695
Nb 0.500 0.757 0.976
Nb 0.500 0.890 0.269
Nb 0.500 0.976 0.757
O 0.000 0.101 0.471
O 0.000 0.152 0.152
O 0.000 0.260 0.856
O 0.000 0.370 0.615
O 0.000 0.471 0.101
O 0.000 0.615 0.370
O 0.000 0.678 0.678
O 0.000 0.746 0.992
O 0.000 0.856 0.260
O 0.000 0.992 0.746
O 0.500 0.002 0.170
O 0.500 0.085 0.617
O 0.500 0.108 0.817
O 0.500 0.158 0.310
O 0.500 0.170 0.002
O 0.500 0.272 0.463
O 0.500 0.278 0.722
O 0.500 0.310 0.158
O 0.500 0.392 0.955
O 0.500 0.463 0.272
O 0.500 0.494 0.494
O 0.500 0.518 0.708
O 0.500 0.617 0.085
O 0.500 0.680 0.842
O 0.500 0.708 0.518
O 0.500 0.722 0.278
O 0.500 0.817 0.108
O 0.500 0.842 0.680
O 0.500 0.889 0.889
O 0.500 0.955 0.392
```

Computed properties:
- crystal system = orthorhombic
- symmetry = Amm2
- VASP energy (Ry/atom) = -0.6010
- E_form (eV/atom) = -2.985
- energy with MP2020 corrections (eV per atom) = -8.616



No. 2
Here is a geometry-optimized K4Ho2MgNb10O30 structure from the Materials Project database. Energies are from PBE. Values from VASP.

Geometry as Quantum ESPRESSO input:
```
&SYSTEM
  ibrav = 0, nat = 47, ntyp = 5
/
ATOMIC_SPECIES
K 39.10 K.upf
Ho 164.93 Ho.upf
Mg 24.30 Mg.upf
Nb 92.91 Nb.upf
O 16.00 O.upf
CELL_PARAMETERS angstrom
12.901 0.000 0.000
0.000 3.970 0.000
-0.206 0.000 12.930
ATOMIC_POSITIONS crystal
K 0.000 0.000 0.000
K 0.146 0.000 0.508
K 0.476 0.000 0.843
K 0.660 0.000 0.363
Ho 0.287 0.000 0.188
Ho 0.846 0.000 0.691
Mg 0.695 0.000 0.056
Nb 0.043 0.500 0.750
Nb 0.099 0.500 0.260
Nb 0.251 0.500 0.963
Nb 0.320 0.500 0.671
Nb 0.392 0.500 0.385
Nb 0.518 0.500 0.091
Nb 0.604 0.500 0.594
Nb 0.747 0.500 0.870
Nb 0.831 0.500 0.170
Nb 0.879 0.500 0.467
O 0.015 0.000 0.745
O 0.033 0.500 0.386
O 0.112 0.500 0.885
O 0.121 0.000 0.236
O 0.158 0.500 0.659
O 0.216 0.500 0.114
O 0.248 0.500 0.304
O 0.249 0.000 0.987
O 0.312 0.500 0.817
O 0.318 0.000 0.660
O 0.319 0.500 0.506
O 0.390 0.000 0.344
O 0.404 0.500 0.995
O 0.432 0.500 0.207
O 0.477 0.500 0.671
O 0.528 0.500 0.448
O 0.541 0.000 0.075
O 0.614 0.000 0.592
O 0.617 0.500 0.938
O 0.669 0.500 0.144
O 0.714 0.500 0.709
O 0.739 0.500 0.501
O 0.756 0.000 0.854
O 0.817 0.000 0.153
O 0.818 0.500 0.004
O 0.827 0.500 0.316
O 0.890 0.000 0.476
O 0.892 0.500 0.800
O 0.934 0.500 0.612
O 0.983 0.500 0.158
```

Computed properties:
- crystal system = monoclinic
- symmetry = Pm
- VASP energy (Ry/atom) = -0.6051
- E_form (eV/atom) = -3.041
- energy with MP2020 corrections (eV per atom) = -8.672



No. 3
Here is a geometry-optimized K2HoNb5O15 structure from the Materials Project database. Energies are from PBE. Values from VASP.

Geometry as Quantum ESPRESSO input:
```
&SYSTEM
  ibrav = 0, nat = 46, ntyp = 4
/
ATOMIC_SPECIES
K 39.10 K.upf
Ho 164.93 Ho.upf
Nb 92.91 Nb.upf
O 16.00 O.upf
CELL_PARAMETERS angstrom
12.739 0.000 0.000
0.000 12.739 0.000
0.000 0.000 3.953
ATOMIC_POSITIONS crystal
K 0.170 0.330 0.000
K 0.330 0.830 0.000
K 0.670 0.170 0.000
K 0.830 0.670 0.000
Ho 0.000 0.000 0.000
Ho 0.500 0.500 0.000
Nb 0.000 0.500 0.500
Nb 0.076 0.788 0.500
Nb 0.212 0.076 0.500
Nb 0.288 0.576 0.500
Nb 0.424 0.288 0.500
Nb 0.500 0.000 0.500
Nb 0.576 0.712 0.500
Nb 0.712 0.424 0.500
Nb 0.788 0.924 0.500
Nb 0.924 0.212 0.500
O 0.000 0.342 0.500
O 0.000 0.500 0.000
O 0.000 0.658 0.500
O 0.058 0.130 0.500
O 0.078 0.816 0.000
O 0.130 0.942 0.500
O 0.158 0.500 0.500
O 0.184 0.078 0.000
O 0.217 0.717 0.500
O 0.283 0.217 0.500
O 0.316 0.578 0.000
O 0.342 0.000 0.500
O 0.370 0.442 0.500
O 0.422 0.316 0.000
O 0.442 0.630 0.500
O 0.500 0.000 0.000
O 0.500 0.158 0.500
O 0.500 0.842 0.500
O 0.558 0.370 0.500
O 0.578 0.684 0.000
O 0.630 0.558 0.500
O 0.658 0.000 0.500
O 0.684 0.422 0.000
O 0.717 0.783 0.500
O 0.783 0.283 0.500
O 0.816 0.922 0.000
O 0.842 0.500 0.500
O 0.870 0.058 0.500
O 0.922 0.184 0.000
O 0.942 0.870 0.500
```

Computed properties:
- crystal system = tetragonal
- symmetry = P4/mbm
- VASP energy (Ry/atom) = -0.6125
- E_form (eV/atom) = -3.063
- energy with MP2020 corrections (eV per atom) = -8.782



No. 4
Here is a geometry-optimized K3HoP2O8 structure from the Materials Project database. Energies are from PBE. Values from VASP.

Geometry as Quantum ESPRESSO input:
```
&SYSTEM
  ibrav = 0, nat = 28, ntyp = 4
/
ATOMIC_SPECIES
K 39.10 K.upf
Ho 164.93 Ho.upf
P 30.97 P.upf
O 16.00 O.upf
CELL_PARAMETERS angstrom
7.504 0.000 0.000
0.000 5.685 0.000
-0.195 0.000 9.443
ATOMIC_POSITIONS crystal
K 0.003 0.250 0.192
K 0.138 0.750 0.412
K 0.296 0.250 0.918
K 0.704 0.750 0.082
K 0.862 0.250 0.588
K 0.997 0.750 0.808
Ho 0.494 0.750 0.712
Ho 0.506 0.250 0.288
P 0.274 0.750 0.091
P 0.318 0.250 0.571
P 0.682 0.750 0.429
P 0.726 0.250 0.909
O 0.069 0.750 0.104
O 0.216 0.250 0.425
O 0.269 0.027 0.659
O 0.269 0.473 0.659
O 0.330 0.750 0.932
O 0.352 0.526 0.166
O 0.352 0.974 0.166
O 0.482 0.750 0.464
O 0.518 0.250 0.536
O 0.648 0.026 0.834
O 0.648 0.474 0.834
O 0.670 0.250 0.068
O 0.731 0.527 0.341
O 0.731 0.973 0.341
O 0.784 0.750 0.575
O 0.931 0.250 0.896
```

Computed properties:
- crystal system = monoclinic
- symmetry = P2_1/m
- VASP energy (Ry/atom) = -0.4968
- E_form (eV/atom) = -2.986
- energy with MP2020 corrections (eV per atom) = -7.152



No. 5
Here is a geometry-optimized KHoP4O12 structure from the Materials Project database. Energies are from PBE. Values from VASP.

Geometry as Quantum ESPRESSO input:
```
&SYSTEM
  ibrav = 0, nat = 36, ntyp = 4
/
ATOMIC_SPECIES
K 39.10 K.upf
Ho 164.93 Ho.upf
P 30.97 P.upf
O 16.00 O.upf
CELL_PARAMETERS angstrom
3.958 -6.251 0.000
3.958 6.251 0.000
-3.772 0.000 9.818
ATOMIC_POSITIONS crystal
K 0.184 0.816 0.750
K 0.816 0.184 0.250
Ho 0.120 0.880 0.250
Ho 0.880 0.120 0.750
P 0.255 0.303 0.557
P 0.285 0.626 0.003
P 0.303 0.255 0.057
P 0.374 0.715 0.497
P 0.626 0.285 0.503
P 0.697 0.745 0.943
P 0.715 0.374 0.997
P 0.745 0.697 0.443
O 0.090 0.486 0.885
O 0.136 0.156 0.414
O 0.156 0.136 0.914
O 0.184 0.247 0.674
O 0.191 0.705 0.398
O 0.247 0.184 0.174
O 0.272 0.529 0.564
O 0.295 0.809 0.102
O 0.358 0.499 0.090
O 0.471 0.728 0.936
O 0.486 0.090 0.385
O 0.499 0.358 0.590
O 0.501 0.642 0.410
O 0.514 0.910 0.615
O 0.529 0.272 0.064
O 0.642 0.501 0.910
O 0.705 0.191 0.898
O 0.728 0.471 0.436
O 0.753 0.816 0.826
O 0.809 0.295 0.602
O 0.816 0.753 0.326
O 0.844 0.864 0.086
O 0.864 0.844 0.586
O 0.910 0.514 0.115
```

Computed properties:
- crystal system = monoclinic
- symmetry = C2/c
- VASP energy (Ry/atom) = -0.5350
- E_form (eV/atom) = -2.919
- energy with MP2020 corrections (eV per atom) = -7.737



No. 6
Here is a geometry-optimized KHoS2O10 structure from the Materials Project database. Energies are from PBE. Values from VASP.

Geometry as Quantum ESPRESSO input:
```
&SYSTEM
  ibrav = 0, nat = 56, ntyp = 4
/
ATOMIC_SPECIES
K 39.10 K.upf
Ho 164.93 Ho.upf
S 32.06 S.upf
O 16.00 O.upf
CELL_PARAMETERS angstrom
10.927 0.000 0.000
0.000 8.235 0.000
-1.493 0.000 9.939
ATOMIC_POSITIONS crystal
K 0.136 0.232 0.090
K 0.136 0.268 0.590
K 0.864 0.732 0.410
K 0.864 0.768 0.910
Ho 0.317 0.738 0.032
Ho 0.317 0.762 0.532
Ho 0.683 0.238 0.468
Ho 0.683 0.262 0.968
S 0.114 0.727 0.207
S 0.114 0.773 0.707
S 0.467 0.147 0.690
S 0.467 0.353 0.190
S 0.533 0.647 0.810
S 0.533 0.853 0.310
S 0.886 0.227 0.293
S 0.886 0.273 0.793
O 0.021 0.213 0.321
O 0.021 0.287 0.821
O 0.154 0.727 0.358
O 0.154 0.773 0.858
O 0.161 0.623 0.647
O 0.161 0.877 0.147
O 0.179 0.589 0.149
O 0.179 0.911 0.649
O 0.288 0.025 0.444
O 0.288 0.475 0.944
O 0.301 0.016 0.970
O 0.301 0.484 0.470
O 0.358 0.225 0.726
O 0.358 0.275 0.226
O 0.434 0.517 0.124
O 0.434 0.983 0.624
O 0.439 0.612 0.690
O 0.439 0.888 0.190
O 0.473 0.747 0.906
O 0.473 0.753 0.406
O 0.527 0.247 0.594
O 0.527 0.253 0.094
O 0.561 0.112 0.810
O 0.561 0.388 0.310
O 0.566 0.017 0.376
O 0.566 0.483 0.876
O 0.642 0.725 0.774
O 0.642 0.775 0.274
O 0.699 0.516 0.530
O 0.699 0.984 0.030
O 0.712 0.525 0.056
O 0.712 0.975 0.556
O 0.821 0.089 0.351
O 0.821 0.411 0.851
O 0.839 0.123 0.853
O 0.839 0.377 0.353
O 0.846 0.227 0.142
O 0.846 0.273 0.642
O 0.979 0.713 0.179
O 0.979 0.787 0.679
```

Computed properties:
- crystal system = monoclinic
- symmetry = P2_1/c
- VASP energy (Ry/atom) = -0.4359
- E_form (eV/atom) = -1.890
- energy with MP2020 corrections (eV per atom) = -6.422